Entry 1:
Density functional theory data (r²SCAN) for crystalline K3ErF6 at its relaxed geometry.

```
20
Lattice="-5.813 -2.739 -1.157 1.708 -1.132 -5.898 4.907 -9.020 -3.298" Properties=species:S:1:pos:R:3 pbc="T T T"
K -2.052 -1.936 -3.528
K 3.308 -5.076 -4.598
K 4.612 -7.784 -6.846
K -3.809 -5.108 -3.508
K 0.886 -8.561 -4.710
K -0.084 -4.330 -5.643
Er -0.453 -5.880 -2.228
Er 0.000 0.000 0.000
F -0.378 -8.124 -7.270
F 1.181 -4.768 -3.084
F 3.391 -9.393 -4.781
F -2.589 -3.499 -5.572
F 2.505 -8.752 -8.156
F -1.703 -4.139 -2.197
F -1.483 -9.702 -4.291
F 2.286 -3.189 -6.062
F 1.955 -6.609 -6.143
F -1.153 -6.283 -4.210
F 0.431 -11.203 -6.033
F 0.371 -1.689 -4.321
```

Computed properties:
The calculation puts the total energy at -10.66 eV/atom. The calculation puts the calculated volume at 18.14 Å³/atom. The formation energy comes out at -346.0 kJ/mol of atoms. As for the crystal system: monoclinic. For the magnetization, the calculation gives 0.000 μB/f.u.


Entry 2:
Density functional theory data (r²SCAN) for crystalline NaErF4 at its relaxed geometry.

```
6
Lattice="-0.695 3.660 -0.297 -2.794 -0.331 2.461 3.451 0.983 4.050" Properties=species:S:1:pos:R:3 pbc="T T T"
Na 0.000 0.000 0.000
Er -0.019 2.156 3.107
F 2.176 2.549 2.813
F -0.470 0.099 2.319
F 0.580 2.094 0.940
F 1.127 0.554 4.192
```

Computed properties:
The calculation puts the total energy at -12.34 eV/atom. The calculation puts the calculated volume at 12.60 Å³/atom. The formation energy comes out at -386.3 kJ/mol of atoms. As for the crystal system: tetragonal. For the magnetization, the calculation gives 0.000 μB/f.u.


Entry 3:
Density functional theory data (r²SCAN) for crystalline NaErF4 at its relaxed geometry.

```
12
Lattice="6.177 0.000 4.370 3.136 3.782 8.673 0.047 0.000 6.488" Properties=species:S:1:pos:R:3 pbc="T T T"
Na 3.136 3.781 8.674
Na 6.248 1.892 14.103
Er 6.272 3.782 17.347
Er 3.112 1.891 5.429
F 3.975 3.714 10.881
F 3.817 0.068 4.314
F 2.407 0.068 6.544
F 3.841 1.823 7.558
F 2.431 1.823 9.789
F 8.522 3.714 17.325
F 7.040 1.959 9.822
F 5.409 1.959 11.896
```

Computed properties:
The calculation puts the total energy at -12.34 eV/atom. The calculation puts the calculated volume at 12.57 Å³/atom. The formation energy comes out at -386.4 kJ/mol of atoms. As for the crystal system: tetragonal. For the magnetization, the calculation gives 0.000 μB/f.u.


Entry 4:
Density functional theory data (r²SCAN) for crystalline ErOF at its relaxed geometry.

```
6
Lattice="-1.779 -4.996 -3.896 1.015 -6.262 -1.749 -2.466 -6.089 -0.382" Properties=species:S:1:pos:R:3 pbc="T T T"
Er -0.836 -4.487 -1.559
Er -2.395 -12.860 -4.468
O -1.223 -6.570 -2.282
O -2.007 -10.777 -3.744
F -0.422 -2.265 -0.787
F -2.809 -15.082 -5.240
```

Computed properties:
The calculation puts the total energy at -18.61 eV/atom. The calculation puts the calculated volume at 12.57 Å³/atom. The formation energy comes out at -411.9 kJ/mol of atoms. As for the crystal system: trigonal. For the magnetization, the calculation gives 0.000 μB/f.u.


Entry 5:
Density functional theory data (r²SCAN) for crystalline Rb3ErF6 at its relaxed geometry.

```
10
Lattice="-1.187 5.248 -4.004 0.549 -0.665 -6.651 -5.493 0.109 -3.846" Properties=species:S:1:pos:R:3 pbc="T T T"
Rb -4.598 3.518 -10.876
Rb -1.533 1.173 -3.625
Rb -3.066 2.346 -7.251
Er 0.000 0.000 0.000
F -1.728 3.578 -9.127
F -4.403 1.113 -5.374
F -5.057 4.005 -7.581
F -1.074 0.686 -6.920
F -4.101 0.746 -9.039
F -2.030 3.945 -5.462
```

Computed properties:
The calculation puts the total energy at -12.96 eV/atom. The calculation puts the calculated volume at 21.33 Å³/atom. The formation energy comes out at -339.0 kJ/mol of atoms. As for the crystal system: cubic. For the magnetization, the calculation gives 0.000 μB/f.u.


Entry 6:
Density functional theory data (r²SCAN) for crystalline ErSF at its relaxed geometry.

```
6
Lattice="3.720 0.000 0.000 0.000 3.720 0.000 0.000 0.000 6.770" Properties=species:S:1:pos:R:3 pbc="T T T"
Er 2.790 2.790 5.234
Er 0.930 0.930 1.536
S 0.930 0.930 4.364
S 2.790 2.790 2.406
F 0.930 2.790 0.000
F 2.790 0.930 0.000
```

Computed properties:
The calculation puts the total energy at -18.35 eV/atom. The calculation puts the calculated volume at 15.61 Å³/atom. The formation energy comes out at -320.7 kJ/mol of atoms. As for the crystal system: tetragonal. For the magnetization, the calculation gives 0.000 μB/f.u.


Entry 7:
Density functional theory data (r²SCAN) for crystalline ErZrF7 at its relaxed geometry.

```
18
Lattice="0.000 -5.655 0.000 -5.827 0.000 1.352 -0.038 0.000 -8.136" Properties=species:S:1:pos:R:3 pbc="T T T"
Er -3.832 -3.949 -4.698
Er -2.034 -1.121 -2.085
Zr -4.749 -4.003 -0.742
Zr -1.116 -1.175 -6.041
F -2.711 -5.064 -3.256
F -3.155 -2.236 -3.528
F -5.412 -2.445 -5.007
F -0.453 -5.273 -1.777
F -5.544 -5.378 -4.892
F -0.322 -2.551 -1.891
F -2.693 -5.601 -5.793
F -3.173 -2.773 -0.990
F -4.430 -3.940 -6.907
F -1.435 -1.113 0.124
F -5.071 -3.953 -2.729
F -0.794 -1.126 -4.054
F -2.232 -2.857 -5.848
F -3.634 -0.029 -0.935
```

Computed properties:
The calculation puts the total energy at -12.94 eV/atom. The calculation puts the calculated volume at 14.91 Å³/atom. The formation energy comes out at -406.8 kJ/mol of atoms. As for the crystal system: monoclinic. For the magnetization, the calculation gives 0.000 μB/f.u.


Entry 8:
Density functional theory data (r²SCAN) for crystalline ErFe2 at its relaxed geometry.

```
6
Lattice="0.000 3.629 3.629 3.629 0.000 3.629 3.629 3.629 0.000" Properties=species:S:1:pos:R:3 pbc="T T T"
Er 3.629 3.629 3.629
Er 5.443 5.443 5.443
Fe 0.907 2.722 2.722
Fe 2.722 2.722 0.907
Fe 2.722 0.907 2.722
Fe 0.907 0.907 0.907
```

Computed properties:
The calculation puts the total energy at -20.94 eV/atom. The calculation puts the calculated volume at 15.93 Å³/atom. The formation energy comes out at -1.9 kJ/mol of atoms. As for the crystal system: cubic. For the magnetization, the calculation gives 3.688 μB/f.u.


Entry 9:
Density functional theory data (r²SCAN) for crystalline ErFe3 at its relaxed geometry.

```
12
Lattice="-8.364 -0.020 1.938 -6.137 -3.736 4.701 -5.795 1.157 6.228" Properties=species:S:1:pos:R:3 pbc="T T T"
Er -2.888 -0.370 1.831
Er 0.000 0.000 0.000
Er -17.408 -2.229 11.037
Fe -11.407 -0.514 8.505
Fe -12.687 -1.101 6.367
Fe -8.719 0.354 5.124
Fe -8.890 -2.085 4.363
Fe -11.577 -2.953 7.743
Fe -7.609 -1.498 6.501
Fe -6.755 -0.865 4.283
Fe -13.541 -1.734 8.585
Fe -10.148 -1.299 6.434
```

Computed properties:
The calculation puts the total energy at -19.32 eV/atom. The calculation puts the calculated volume at 15.35 Å³/atom. The formation energy comes out at -2.6 kJ/mol of atoms. As for the crystal system: trigonal. For the magnetization, the calculation gives 6.578 μB/f.u.


Entry 10:
Density functional theory data (r²SCAN) for crystalline Er12In3Fe2 at its relaxed geometry.

```
17
Lattice="-0.382 -7.895 2.767 5.174 4.324 4.967 -7.632 3.444 0.143" Properties=species:S:1:pos:R:3 pbc="T T T"
Er -3.208 1.016 2.457
Er 0.368 -1.143 5.420
Er 3.472 0.581 4.293
Er 1.320 -4.151 3.441
Er -1.001 -1.841 2.317
Er -1.839 1.714 5.560
Er -5.037 -4.082 3.783
Er -0.860 5.104 5.436
Er 2.197 3.956 4.094
Er -1.980 -5.230 2.441
Er 0.378 1.192 2.863
Er -3.218 -1.318 5.014
In 0.000 0.000 0.000
In -4.007 -2.225 1.455
In -1.229 3.884 2.555
Fe 1.839 -1.370 2.968
Fe 2.953 -2.201 4.766
```

Computed properties:
The calculation puts the total energy at -29.87 eV/atom. The calculation puts the calculated volume at 26.59 Å³/atom. The formation energy comes out at -23.8 kJ/mol of atoms. As for the crystal system: tetragonal. For the magnetization, the calculation gives 0.113 μB/f.u.


Entry 11:
Density functional theory data (r²SCAN) for crystalline ErFeO3 at its relaxed geometry.

```
20
Lattice="5.235 0.000 0.000 0.000 5.586 0.000 0.000 0.000 7.593" Properties=species:S:1:pos:R:3 pbc="T T T"
Er 0.107 5.180 5.695
Er 2.724 3.199 1.898
Er 2.511 2.387 5.695
Er 5.128 0.406 1.898
Fe 0.000 2.793 3.796
Fe 2.617 0.000 3.796
Fe 2.617 0.000 0.000
Fe 0.000 2.793 0.000
O 3.603 1.721 3.326
O 0.986 1.071 4.267
O 4.249 4.514 0.470
O 1.632 3.864 7.123
O 1.632 3.864 4.267
O 4.249 4.514 3.326
O 0.986 1.071 7.123
O 3.603 1.721 0.470
O 0.638 2.537 1.898
O 3.256 0.256 5.695
O 1.979 5.329 1.898
O 4.596 3.049 5.695
```

Computed properties:
The calculation puts the total energy at -16.06 eV/atom. The calculation puts the calculated volume at 11.10 Å³/atom. The formation energy comes out at -271.0 kJ/mol of atoms. As for the crystal system: orthorhombic. For the magnetization, the calculation gives 5.001 μB/f.u.


Entry 12:
Density functional theory data (r²SCAN) for crystalline Er6FeSb2 at its relaxed geometry.

```
9
Lattice="4.058 -7.029 0.000 4.058 7.029 0.000 0.000 0.000 4.137" Properties=species:S:1:pos:R:3 pbc="T T T"
Er 5.020 5.363 2.069
Er 5.020 -5.363 2.069
Er 6.194 0.000 2.069
Er 2.446 -4.236 0.000
Er 2.446 4.236 0.000
Er 3.224 0.000 0.000
Fe 8.116 0.000 0.000
Sb 4.059 2.342 2.069
Sb 4.059 -2.342 2.069
```

Computed properties:
The calculation puts the total energy at -30.54 eV/atom. The calculation puts the calculated volume at 26.23 Å³/atom. The formation energy comes out at -59.2 kJ/mol of atoms. As for the crystal system: hexagonal. For the magnetization, the calculation gives 0.702 μB/f.u.


- Among the records above, which one has the lowest formation energy?
  ErOF